(1)
First-principles (PBE) data for crystalline MgP4Br12O4 at its relaxed geometry, as listed in the Materials Project.

Values from the calculation:
Its calculated density is 2.4 Mg/m³.

Lattice parameters (Å, degrees): 7.1047 10.2539 11.2184 89.23 89.66 80.99
Last column: nearest neighbours and their distance in Å.
Fractional coordinates of all 21 atoms:
Mg: 0.0000 0.0000 0.0000  1 O 1.98
P: 0.1260 0.3108 0.9950  1 O 1.49
P: 0.4259 0.7839 0.0057  1 O 1.48
P: 0.5947 0.1870 0.5176  1 O 1.48
P: 0.8753 0.6834 0.5030  1 O 1.47
Br: 0.1153 0.5198 0.5092  1 P 2.20
Br: 0.1566 0.8408 0.8432  1 Mg 2.55, 1 P 2.64
Br: 0.1863 0.8648 0.1686  1 P 2.55, 1 Mg 2.58
Br: 0.2685 0.3379 0.1614  1 P 2.17
Br: 0.2991 0.3713 0.8505  1 P 2.17
Br: 0.4291 0.0273 0.5557  1 P 2.20
Br: 0.6593 0.0482 0.0317  1 Mg 2.42
Br: 0.6993 0.6391 0.3519  1 P 2.21
Br: 0.6997 0.6513 0.6611  1 P 2.21
Br: 0.7309 0.1363 0.3448  1 P 2.19
Br: 0.8273 0.1605 0.6491  1 P 2.20
Br: 0.8599 0.4488 0.9964  1 P 2.18
O: 0.0944 0.1712 0.9798  1 P 1.49
O: 0.4724 0.6385 0.0196  1 P 1.48
O: 0.4789 0.3199 0.5201  1 P 1.48
O: 0.9322 0.8154 0.4969  1 P 1.47


(2)
First-principles (PBE) data for crystalline MgP4Br12O4 at its relaxed geometry, as listed in the Materials Project.

Values from the calculation:
Its calculated density is 2.4 Mg/m³.

Lattice parameters (Å, degrees): 7.5792 9.8496 11.1209 88.17 82.44 79.12
Last column: nearest neighbours and their distance in Å.
Fractional coordinates of all 21 atoms:
Mg: 0.0000 0.0000 0.0000  1 O 1.98
P: 0.0539 0.1958 0.2281  1 O 1.50
P: 0.2412 0.2375 0.7319  1 O 1.48
P: 0.4235 0.6893 0.1552  1 O 1.50
P: 0.7565 0.7265 0.6027  1 O 1.47
Br: 0.0200 0.1037 0.7622  1 P 2.31
Br: 0.0932 0.4417 0.7906  1 P 2.18
Br: 0.1671 0.3819 0.2274  1 P 2.17
Br: 0.2137 0.0382 0.3329  1 P 2.19
Br: 0.2397 0.7903 0.9649  1 Mg 2.48, 1 P 2.74
Br: 0.4255 0.1547 0.8646  1 P 2.20
Br: 0.5789 0.9231 0.5628  1 P 2.21
Br: 0.5926 0.5677 0.5824  1 P 2.21
Br: 0.5954 0.5060 0.0423  1 P 2.32
Br: 0.6812 0.9880 0.0431  1 Mg 2.42
Br: 0.7834 0.2396 0.3302  1 P 2.18
Br: 0.9716 0.6955 0.4476  1 P 2.20
O: 0.0508 0.1443 0.1029  1 P 1.50
O: 0.2878 0.6318 0.2424  1 P 1.50
O: 0.3215 0.2296 0.6032  1 P 1.48
O: 0.8231 0.7246 0.7216  1 P 1.47


Bottom line: (1), by a margin of 0.017 eV/atom.


(1)
First-principles (PBE) data for crystalline MgTe4Pb6Br4O12 at its relaxed geometry, as listed in the Materials Project.

Values from the calculation:
Its calculated density is 6.6 Mg/m³.

Lattice parameters (Å, degrees): 9.5007 9.5007 11.3640 106.35 106.35 35.82
Last column: nearest neighbours and their distance in Å.
Fractional coordinates of all 27 atoms:
Mg: 0.0000 0.0000 0.0000  2 Br 2.55
Te: 0.0657 0.7390 0.4485  4 O 1.97-2.10
Te: 0.2610 0.9343 0.5515  4 O 1.97-2.10
Te: 0.5094 0.2272 0.9193  3 O 1.92-2.02
Te: 0.7728 0.4906 0.0807  3 O 1.92-2.02
Pb: 0.0032 0.6468 0.1008  5 O 2.44-2.67
Pb: 0.3532 0.9968 0.8992  5 O 2.44-2.67
Pb: 0.4217 0.0792 0.2929  4 O 2.39-2.66
Pb: 0.6272 0.3083 0.3006  3 O 2.41-2.46
Pb: 0.6917 0.3728 0.6994  3 O 2.41-2.46
Pb: 0.9208 0.5783 0.7071  4 O 2.39-2.66
Br: 0.1506 0.7644 0.7897  1 Mg 2.55
Br: 0.2356 0.8494 0.2103  1 Mg 2.55
Br: 0.4746 0.1601 0.6053  4 Pb 3.40-3.71, 1 Te 3.41, 2 O 3.65-3.75
Br: 0.8399 0.5254 0.3947  4 Pb 3.40-3.71, 1 Te 3.41, 2 O 3.65-3.75
O: 0.0580 0.2046 0.6793  1 Te 1.97
O: 0.0893 0.3279 0.1092  1 Te 1.93
O: 0.1880 0.3782 0.8877  1 Te 2.02
O: 0.2606 0.4793 0.3156  1 Te 1.97
O: 0.3785 0.6215 0.5000  2 Te 2.10
O: 0.4744 0.2883 0.0913  1 Te 1.92
O: 0.5207 0.7394 0.6844  1 Te 1.97
O: 0.6218 0.8119 0.1123  1 Te 2.02
O: 0.6721 0.9107 0.8908  1 Te 1.93
O: 0.7117 0.5256 0.9087  1 Te 1.92
O: 0.7954 0.9420 0.3207  1 Te 1.97
O: 0.9574 0.0426 0.5000  2 Te 2.07


(2)
First-principles (PBE) data for crystalline MgTe4Pb6Br4O12 at its relaxed geometry, as listed in the Materials Project.

Values from the calculation:
Its calculated density is 6.2 Mg/m³.

Lattice parameters (Å, degrees): 5.7967 9.5046 12.1397 104.76 90.75 106.79
Last column: nearest neighbours and their distance in Å.
Fractional coordinates of all 27 atoms:
Mg: 0.0000 0.0000 0.0000  3 Br 2.57-2.61, 1 Te 2.80
Te: 0.2509 0.4172 0.4578  3 O 1.87-1.92
Te: 0.5587 0.9842 0.6451  3 O 1.88-1.91
Te: 0.8117 0.4966 0.9640  4 O 1.98-2.05
Te: 0.9733 0.8293 0.1590  2 O 2.09-2.10
Pb: 0.0853 0.0373 0.4531  4 O 2.52-2.64
Pb: 0.1878 0.2280 0.8213  4 O 2.39-2.48
Pb: 0.3839 0.6556 0.8613  4 O 2.39-2.52
Pb: 0.4442 0.7592 0.3068  3 O 2.30-2.37
Pb: 0.6282 0.1658 0.2710  4 O 2.42-2.50
Pb: 0.7720 0.3783 0.6500  3 O 2.44-2.57
Br: 0.1977 0.2758 0.1231  1 Mg 2.58
Br: 0.5817 0.0416 0.9679  1 Mg 2.61
Br: 0.8619 0.6503 0.4320  3 Pb 3.38-3.70, 2 Te 3.65-3.66, 1 O 3.73
Br: 0.9822 0.8437 0.7912  1 Mg 2.57
O: 0.0088 0.4318 0.8320  1 Te 2.05
O: 0.1176 0.6656 0.0093  1 Te 1.98
O: 0.2538 0.4703 0.6173  1 Te 1.87
O: 0.2847 0.9496 0.2731  1 Te 2.10
O: 0.3927 0.1328 0.6630  1 Te 1.90
O: 0.4208 0.2675 0.4386  1 Te 1.92
O: 0.5161 0.9324 0.4843  1 Te 1.88
O: 0.5549 0.4349 0.8321  1 Te 2.02
O: 0.6643 0.6650 0.0143  1 Te 1.99
O: 0.7721 0.9423 0.2698  1 Te 2.09, 1 Pb 2.31
O: 0.8663 0.1349 0.6603  1 Te 1.91
O: 0.9443 0.2600 0.4313  1 Te 1.92


Bottom line: (2), by a margin of 0.055 eV/atom.